Entry 1:
Below is an optimized crystal structure of Sr2YMnCu2O7, with properties calculated at the GGA+U level.

Output
* magnetization: 3.93 μB/f.u.
* total energy after the MP2020 corrections: -7.15 eV/atom
* space-group type: P1
* raw total energy: -0.48915 Ry per atom

abc: 5.4375 5.4401 12.3852
angles: 102.72 102.68 89.96
Closest atoms and distances in Å follow each position.
Fractional coordinates of all 26 atoms:
O: 0.3029 0.8058 0.1246  2 Cu 1.93-1.94
O: 0.8030 0.8204 0.1245  2 Cu 1.93-1.94
O: 0.2880 0.3066 0.1244  2 Cu 1.93
O: 0.6632 0.6803 0.8751  2 Cu 1.93
O: 0.1481 0.6832 0.3451  1 Mn 1.89
O: 0.7881 0.3206 0.1248  2 Cu 1.93
O: 0.1322 0.3403 0.4997  2 Mn 1.95-2.03
O: 0.1630 0.6953 0.8751  2 Cu 1.93
O: 0.6782 0.1808 0.8752  2 Cu 1.93-1.94
O: 0.6324 0.6605 0.4998  2 Mn 1.95-2.03
O: 0.6480 0.1632 0.3446  1 Mn 1.89
O: 0.1777 0.1957 0.8754  2 Cu 1.93-1.94
O: 0.8039 0.3197 0.6553  1 Mn 1.89
O: 0.3028 0.8381 0.6554  1 Mn 1.89
Sr: 0.6296 0.6573 0.2985  4 O 2.48-2.75
Sr: 0.8309 0.8584 0.7011  4 O 2.49-2.74
Sr: 0.1295 0.1421 0.2986  4 O 2.48-2.75
Sr: 0.3307 0.3436 0.7012  4 O 2.49-2.75
Cu: 0.5533 0.0717 0.1407  4 O 1.93-1.94
Cu: 0.4125 0.9295 0.8592  4 O 1.93-1.94
Cu: 0.0532 0.5703 0.1403  4 O 1.93-1.94
Cu: 0.9122 0.4307 0.8589  4 O 1.93
Y: 0.9830 0.0005 0.9998  8 O 2.37-2.47
Y: 0.4831 0.5005 0.9998  8 O 2.37-2.47
Mn: 0.7745 0.3163 0.4998  4 O 1.89-2.03
Mn: 0.2743 0.6852 0.5001  4 O 1.89-2.03

---

Entry 2:
Below is an optimized crystal structure of Li9Mn2Co5O16, with properties calculated at the GGA+U level.

Output
* magnetization: 1.99 μB/f.u.
* total energy after the MP2020 corrections: -6.50 eV/atom
* space-group type: P1
* raw total energy: -0.42568 Ry per atom

abc: 5.9026 5.9142 8.1283
angles: 90.87 90.74 92.99
Closest atoms and distances in Å follow each position.
Fractional coordinates of all 32 atoms:
Mn: 0.0009 0.0029 0.0034  6 O 1.87-1.99
Mn: 0.0048 0.4949 0.4993  6 O 1.92-2.01
O: 0.5132 0.5138 0.7377  2 Co 1.92-1.96, 1 Li 2.14
O: 0.7700 0.2326 0.0068  1 Mn 1.97, 2 Co 1.99-2.05, 2 Li 2.03-2.10
O: 0.7498 0.7662 0.9869  2 Co 1.93-2.14, 1 Mn 1.99, 2 Li 2.14-2.15
O: 0.2351 0.7447 0.5102  1 Co 1.94, 1 Mn 1.95, 3 Li 2.11-2.12
O: 0.5209 0.0139 0.2401  2 Co 1.91, 2 Li 2.09-2.13
O: 0.2451 0.2303 0.9974  1 Mn 1.92, 3 Li 2.02-2.10, 1 Co 2.02
O: 0.0023 0.9963 0.2335  1 Mn 1.87, 2 Li 2.04-2.05
O: 0.2414 0.2848 0.5011  1 Mn 1.92, 1 Co 1.93, 3 Li 2.04-2.12
O: 0.7607 0.7177 0.5115  2 Co 1.95-1.96, 1 Mn 2.01, 2 Li 2.14-2.17
O: 0.5010 0.4984 0.2666  1 Co 1.87, 2 Li 2.02-2.04
O: 0.9810 0.9875 0.7607  1 Co 1.92, 1 Mn 1.98, 1 Li 2.12
O: 0.4840 0.9851 0.7574  2 Co 1.91-2.02, 2 Li 2.13-2.14
O: 0.9828 0.4861 0.2636  1 Co 1.89, 1 Mn 1.92
O: 0.0147 0.5127 0.7393  1 Co 1.92, 1 Mn 1.95, 1 Li 2.14
O: 0.2310 0.7700 0.9897  2 Co 1.96-2.04, 1 Mn 1.99, 2 Li 2.05-2.13
O: 0.7671 0.2548 0.4930  1 Mn 1.94, 1 Co 1.97, 3 Li 2.09-2.12
Li: 0.4972 0.0034 0.4962  5 O 2.09-2.30
Li: 0.7499 0.7485 0.2498  6 O 2.04-2.14
Li: 0.2510 0.7494 0.2514  6 O 2.11-2.18
Li: 0.0043 0.0036 0.4921  6 O 2.09-2.19
Li: 0.4942 0.4964 0.0077  6 O 2.10-2.31
Li: 0.2500 0.2520 0.2498  6 O 2.02-2.19
Li: 0.0052 0.4962 0.0037  6 O 2.03-2.26
Li: 0.7482 0.2485 0.7488  6 O 2.09-2.16
Li: 0.2514 0.2506 0.7502  6 O 2.02-2.17
Co: 0.2470 0.7516 0.7491  4 O 1.91-1.96
Co: 0.4943 0.0080 0.0062  5 O 1.91-2.05
Co: 0.7525 0.2524 0.2507  4 O 1.89-1.99
Co: 0.5004 0.4979 0.4961  4 O 1.87-1.96
Co: 0.7488 0.7489 0.7498  4 O 1.92-1.95

---

Entry 3:
Below is an optimized crystal structure of Li9Mn2Co5O16, with properties calculated at the GGA+U level.

Output
* magnetization: 10.00 μB/f.u.
* total energy after the MP2020 corrections: -6.50 eV/atom
* space-group type: Pm
* raw total energy: -0.42573 Ry per atom

abc: 2.9132 9.7879 10.3196
angles: 80.11 90.00 90.00
Closest atoms and distances in Å follow each position.
Fractional coordinates of all 32 atoms:
O: 0.0000 0.3669 0.4287  2 Co 1.97, 4 Li 1.98-2.11
O: 0.0000 0.1296 0.3210  3 Co 2.03-2.06, 3 Li 2.05-2.13
O: 0.0000 0.3658 0.9272  3 Co 1.97-2.09, 3 Li 2.17-2.19
O: 0.0000 0.8669 0.1729  3 Mn 1.98-2.00
O: 0.0000 0.1212 0.8361  1 Mn 1.93, 2 Co 2.02
O: 0.0000 0.6422 0.0680  2 Mn 1.93, 1 Li 2.10
O: 0.5000 0.3662 0.1907  1 Co 1.82, 2 Li 1.97
O: 0.5000 0.1197 0.5592  2 Co 1.98, 3 Li 2.05-2.12
O: 0.0000 0.6349 0.5687  3 Co 2.00-2.06, 3 Li 2.06-2.22
O: 0.5000 0.8843 0.4473  3 Co 2.03-2.05, 3 Li 2.05-2.19
O: 0.5000 0.6401 0.2962  1 Mn 1.80
O: 0.5000 0.3836 0.6899  3 Co 1.99-2.09, 3 Li 2.16-2.18
O: 0.5000 0.8832 0.9529  3 Mn 1.96-2.13
O: 0.5000 0.6176 0.8067  3 Co 2.02-2.11, 3 Li 2.06-2.26
O: 0.5000 0.1020 0.0622  2 Mn 1.93, 1 Li 2.14
O: 0.0000 0.8687 0.6858  3 Co 2.01-2.15, 3 Li 2.09
Co: 0.5000 0.2518 0.8728  5 O 1.97-2.09
Co: 0.5000 0.2670 0.3566  3 O 1.82-1.97
Co: 0.0000 0.0079 0.5009  6 O 1.98-2.15
Co: 0.0000 0.5000 0.7459  6 O 1.99-2.09
Co: 0.5000 0.7530 0.6244  6 O 2.00-2.11
Li: 0.0000 0.4978 0.2526  6 O 2.04-2.17
Li: 0.5000 0.4900 0.0107  6 O 2.04-2.26
Li: 0.5000 0.9992 0.7424  6 O 2.05-2.27
Li: 0.0000 0.2585 0.6096  5 O 1.98-2.16
Li: 0.0000 0.2559 0.1308  4 O 1.97-2.19
Li: 0.0000 0.7441 0.3797  6 O 2.05-2.26
Li: 0.5000 0.0052 0.2647  4 O 2.05-2.14
Li: 0.0000 0.7394 0.8698  6 O 2.06-2.29
Li: 0.5000 0.4994 0.4891  6 O 2.11-2.22
Mn: 0.5000 0.7401 0.1331  5 O 1.80-2.00
Mn: 0.0000 0.9979 0.0036  6 O 1.93-1.98

---

Entry 4:
Below is an optimized crystal structure of Li2CoSnP2O8, with properties calculated at the GGA+U level.

Output
* magnetization: 3.00 μB/f.u.
* total energy after the MP2020 corrections: -7.03 eV/atom
* space-group type: P2_1/m
* raw total energy: -0.47943 Ry per atom

abc: 12.0811 5.9066 4.9505
angles: 90.00 79.54 90.00
Closest atoms and distances in Å follow each position.
Fractional coordinates of all 28 atoms:
Sn: 0.2179 0.7500 0.5440  3 O 2.29-2.46
Sn: 0.7820 0.2501 0.4561  3 O 2.29-2.46
P: 0.1055 0.2500 0.4025  4 O 1.53-1.59
P: 0.5812 0.2499 0.0687  4 O 1.54-1.57
P: 0.8945 0.7500 0.5974  4 O 1.52-1.59
P: 0.4188 0.7499 0.9314  4 O 1.54-1.57
O: 0.8181 0.5440 0.7290  1 P 1.59
O: 0.3648 0.5345 0.8213  1 P 1.57
O: 0.5949 0.2500 0.7526  1 P 1.54
O: 0.5432 0.7500 0.7719  1 P 1.56
O: 0.4051 0.7499 0.2474  1 P 1.54
O: 0.1820 0.0441 0.2714  1 P 1.59
O: 0.0037 0.7503 0.7190  1 P 1.55
O: 0.0847 0.2501 0.7158  1 P 1.53
O: 0.6353 0.0345 0.1787  1 P 1.57
O: 0.9964 0.2499 0.2809  1 P 1.55
O: 0.1820 0.4560 0.2714  1 P 1.59
O: 0.9153 0.7496 0.2843  1 P 1.52
O: 0.3648 0.9654 0.8213  1 P 1.57
O: 0.8179 0.9559 0.7282  1 P 1.59
O: 0.4568 0.2498 0.2282  1 P 1.56
O: 0.6351 0.4655 0.1788  1 P 1.57
Li: 0.0002 0.0004 0.9995  4 O 2.02-2.17
Li: 0.5000 0.0000 0.5001  4 O 2.07-2.13
Li: 0.9998 0.5003 0.0004  4 O 2.02-2.17
Li: 0.5000 0.5000 0.4999  4 O 2.07-2.13
Co: 0.3170 0.2499 0.0411  5 O 2.03-2.18
Co: 0.6831 0.7499 0.9589  5 O 2.03-2.18